Density functional theory data (PBE+U) for an optimized crystal structure of LiFeF4.

Cell: 4.7311 4.7311 3.0930 Å, 90.00 90.00 93.26°
Last column: nearest neighbours and their distance in Å.
Fractional positions:
F: 0.6891 0.3109 0.5000  2 Fe 2.02, 1 Li 2.14
F: 0.3109 0.6891 0.5000  2 Fe 2.02, 1 Li 2.14
F: 0.2075 0.2075 0.0000  1 Fe 1.90, 2 Li 2.05
F: 0.7925 0.7925 0.0000  1 Fe 1.90, 2 Li 2.05
Li: 0.0000 0.0000 0.5000  6 F 2.05-2.14
Fe: 0.5000 0.5000 0.0000  6 F 1.90-2.02

**ΔE to the lowest computed polymorph**: 11 meV/atom
**Calculated volume**: 11.52 Å³/atom